First-principles (GGA-PBE) data for an optimized crystal structure of Dy3Co2Si3, as listed in the Materials Project.

VASP energy = -50.246 eV/f.u.

a b c (Å): 5.6168 5.6168 13.6028
angles (deg): 90.00 90.00 137.28
Sites, in units of the cell vectors:
1 Co 0.7861 0.2139 0.5806
2 Co 0.2139 0.7861 0.0806
3 Co 0.2139 0.7861 0.4194
4 Co 0.7861 0.2139 0.9194
5 Dy 0.3614 0.6385 0.7500
6 Dy 0.6385 0.3614 0.2500
7 Dy 0.0811 0.9189 0.8886
8 Dy 0.9189 0.0811 0.1114
9 Dy 0.0811 0.9189 0.6114
10 Dy 0.9189 0.0811 0.3886
11 Si 0.6223 0.3777 0.0395
12 Si 0.6703 0.3297 0.7500
13 Si 0.3777 0.6223 0.5395
14 Si 0.3297 0.6703 0.2500
15 Si 0.3777 0.6223 0.9605
16 Si 0.6223 0.3777 0.4605

---

First-principles (GGA-PBE) data for an optimized crystal structure of CsK2RuF6, as listed in the Materials Project.

VASP energy = -46.123 eV/f.u.

a b c (Å): 6.7543 6.7543 6.7543
angles (deg): 60.00 60.00 60.00
Sites, in units of the cell vectors:
1 Ru 0.0000 0.0000 0.0000
2 F 0.2118 0.2118 0.7882
3 F 0.2118 0.7882 0.2118
4 F 0.7882 0.7882 0.2118
5 F 0.2118 0.7882 0.7882
6 F 0.7882 0.2118 0.2118
7 F 0.7882 0.2118 0.7882
8 Cs 0.5000 0.5000 0.5000
9 K 0.2500 0.2500 0.2500
10 K 0.7500 0.7500 0.7500

---

First-principles (GGA-PBE) data for an optimized crystal structure of LiCu2F6, as listed in the Materials Project.

offset from the most stable computed form = 0.0000 eV per atom

a b c (Å): 4.6719 4.6719 9.0666
angles (deg): 90.00 90.00 90.00
Sites, in units of the cell vectors:
1 F 0.3103 0.6897 0.5000
2 F 0.8024 0.8024 0.3285
3 F 0.3024 0.6976 0.8285
4 F 0.1976 0.1976 0.6715
5 F 0.1897 0.1897 0.0000
6 F 0.8024 0.8024 0.6715
7 F 0.3024 0.6976 0.1715
8 F 0.1976 0.1976 0.3285
9 F 0.6976 0.3024 0.8285
10 F 0.6897 0.3103 0.5000
11 F 0.6976 0.3024 0.1715
12 F 0.8103 0.8103 0.0000
13 Cu 0.0000 0.0000 0.1687
14 Cu 0.0000 0.0000 0.8313
15 Cu 0.5000 0.5000 0.3313
16 Cu 0.5000 0.5000 0.6687
17 Li 0.0000 0.0000 0.5000
18 Li 0.5000 0.5000 0.0000

---

First-principles (GGA-PBE) data for an optimized crystal structure of NbNiAs, as listed in the Materials Project.

VASP energy = -22.120 eV/f.u.

a b c (Å): 3.7381 6.3449 7.3405
angles (deg): 90.00 90.00 90.00
Sites, in units of the cell vectors:
1 Ni 0.2500 0.6547 0.0701
2 Ni 0.2500 0.1547 0.4299
3 Ni 0.7500 0.3453 0.9299
4 Ni 0.7500 0.8453 0.5701
5 Nb 0.7500 0.9797 0.1636
6 Nb 0.2500 0.5203 0.6636
7 Nb 0.7500 0.4797 0.3365
8 Nb 0.2500 0.0203 0.8364
9 As 0.2500 0.2843 0.1229
10 As 0.2500 0.7843 0.3771
11 As 0.7500 0.2157 0.6229
12 As 0.7500 0.7157 0.8771